# 1
# CaPrMgBiO6, relaxed, DFT PBE-GGA
data_CaPrMgBiO6
_symmetry_space_group_name_H-M 'F -4 3 m'
_symmetry_Int_Tables_number 216
_symmetry_space_group_name_Hall 'F -4 2 3'
_cell_length_a 8.137
_cell_length_b 8.137
_cell_length_c 8.137
_cell_angle_alpha 90.00
_cell_angle_beta 90.00
_cell_angle_gamma 90.00
loop_
_atom_site_label
_atom_site_type_symbol
_atom_site_fract_x
_atom_site_fract_y
_atom_site_fract_z
Ca1 Ca 0.000 0.000 0.000
Pr1 Pr 0.000 0.000 0.500
Mg1 Mg 0.250 0.250 0.750
Bi1 Bi 0.250 0.250 0.250
O1 O 0.004 0.250 0.750
# DFT formation energy: -25.234 eV/f.u.

# 2
# Er2AlSi, relaxed, DFT PBE-GGA
data_Er2AlSi
_symmetry_space_group_name_H-M 'P m c 21'
_symmetry_Int_Tables_number 26
_cell_length_a 3.965
_cell_length_b 5.779
_cell_length_c 7.930
_cell_angle_alpha 90.00
_cell_angle_beta 90.00
_cell_angle_gamma 90.00
loop_
_symmetry_equiv_pos_as_xyz
'x,y,z'
'-x,-y,z+1/2'
'-x,y,z'
'x,-y,z+1/2'
loop_
_atom_site_label
_atom_site_type_symbol
_atom_site_fract_x
_atom_site_fract_y
_atom_site_fract_z
Er1 Er 0.000 0.130 0.000
Er2 Er 0.500 0.358 0.643
Al1 Al 0.000 0.377 0.358
Si1 Si 0.500 0.123 0.283
# DFT formation energy: -2.485 eV/f.u.